Entry 1:
DFT (PBE) results for a geometry-optimized KBiPCO7 structure.

Summary:
Its space group is No. 4. For the calculated formation energy, the calculation gives -2217 kJ/mol of formula units. As for the electronic total energy: -6.586 eV/atom.

Cell and atoms, written as extended XYZ:
```
22
Lattice="7.078 0.000 0.000 0.000 5.771 0.000 0.000 0.105 10.107" Properties=species:S:1:pos:R:3 pbc="T T T"
O 5.235 3.222 8.431
C 1.656 1.619 0.899
Bi 1.950 1.292 3.686
O 1.565 1.829 9.746
O 4.214 1.254 3.415
O 1.926 2.671 5.596
O 1.697 2.654 1.676
O 5.104 4.047 0.360
P 1.877 4.214 5.788
P 5.416 1.662 4.319
K 6.798 4.398 2.297
O 1.765 4.868 4.374
O 1.712 0.434 1.448
O 6.675 1.183 3.539
K 3.259 1.478 7.809
O 3.136 4.692 6.567
O 5.304 1.008 5.733
C 5.195 4.257 9.207
O 5.465 3.205 4.510
O 5.251 5.442 8.658
Bi 5.489 4.584 6.420
O 0.675 4.622 6.691
```

Entry 2:
DFT (PBE) results for a geometry-optimized Ca4Al3O10 structure.

Summary:
Its space group is No. 2. For the calculated formation energy, the calculation gives -4351 kJ/mol of formula units. As for the electronic total energy: -6.601 eV/atom.

Cell and atoms, written as extended XYZ:
```
34
Lattice="7.593 0.000 0.000 0.903 7.745 0.000 2.064 1.701 8.100" Properties=species:S:1:pos:R:3 pbc="T T T"
O 6.436 5.359 0.480
Al 2.769 7.086 1.484
Al 5.038 4.835 6.206
O 8.531 4.372 4.247
O 4.116 5.991 1.729
Ca 3.803 1.617 0.751
O 8.389 8.562 5.761
O 5.607 0.271 0.266
O 3.896 6.310 5.947
O 6.653 8.120 2.951
Ca 2.787 7.741 7.284
O 3.906 1.326 5.150
O 6.213 6.171 5.967
Al 6.878 6.844 1.646
O 6.443 3.455 6.371
Ca 5.877 2.301 4.155
O 4.346 3.275 2.133
O 2.170 0.884 2.339
Ca 7.925 6.672 4.392
Ca 6.756 7.830 7.349
Al 3.682 2.602 6.455
O 8.659 6.712 1.543
Ca 2.634 2.774 3.708
O 4.952 9.175 7.834
Al 5.521 4.611 1.894
Ca 4.682 7.146 3.946
Al 7.790 2.360 6.616
O 4.204 3.746 5.040
O 1.900 2.735 6.557
O 6.356 5.700 3.060
O 6.663 3.136 2.153
O 4.123 4.087 7.620
Ca 7.772 1.705 0.816
O 2.029 5.074 3.853
```

Entry 3:
DFT (PBE) results for a geometry-optimized KNa2RuF6 structure.

Summary:
Its space group is No. 225. For the calculated formation energy, the calculation gives -2318 kJ/mol of formula units. As for the electronic total energy: -4.577 eV/atom.

Cell and atoms, written as extended XYZ:
```
10
Lattice="1.702 -4.700 3.844 -4.324 -2.862 3.587 -1.750 -5.919 -1.290" Properties=species:S:1:pos:R:3 pbc="T T T"
F -2.426 -7.192 5.464
F -0.052 -5.620 3.495
Na -1.093 -3.370 1.535
Na -3.280 -10.111 4.605
F -4.321 -7.861 2.646
F -1.947 -6.289 0.676
K -2.186 -6.741 3.070
Ru 0.000 0.000 0.000
F -1.013 -8.870 2.786
F -3.360 -4.611 3.354
```

Entry 4:
DFT (PBE) results for a geometry-optimized Na10Ta2Al6Si7S5O48 structure.

Summary:
Its space group is No. 1. For the calculated formation energy, the calculation gives -20488 kJ/mol of formula units. As for the electronic total energy: -6.858 eV/atom.

Cell and atoms, written as extended XYZ:
```
234
Lattice="17.528 0.027 -0.054 -4.370 7.563 -0.008 -0.068 -0.062 21.885" Properties=species:S:1:pos:R:3 pbc="T T T"
S -3.076 5.340 16.473
Na 4.354 2.645 7.265
Al 9.108 4.965 0.377
Na 11.931 -0.004 16.286
Al 4.099 2.537 15.052
O 7.073 4.823 7.876
O 4.974 1.248 9.284
O 13.993 3.679 9.247
S 10.031 7.226 9.066
O 3.867 3.848 5.282
O 8.132 3.489 21.379
O 10.256 0.187 12.762
O 3.274 1.181 11.414
O 7.048 4.869 1.690
Na 7.233 7.426 1.785
S 14.427 4.658 1.761
Al 0.145 5.064 0.442
S -1.286 2.876 20.080
O 0.858 3.840 1.535
O -1.024 3.675 18.851
O 11.517 7.310 8.944
Na 13.074 7.532 10.815
O 0.926 6.317 16.608
Si 6.948 7.508 5.589
O 5.335 1.178 16.284
O 8.013 6.560 18.838
O 12.512 4.052 5.313
O 5.411 3.799 9.203
Na -1.542 7.397 1.758
O 13.822 4.073 0.544
Al 8.715 5.032 6.862
O 0.888 1.160 17.756
O -1.039 6.303 21.271
O -0.901 6.246 5.492
O 4.999 4.093 0.561
S -1.296 7.098 20.028
O 7.959 6.200 5.690
Na 14.733 0.185 20.106
Al 4.384 2.308 21.426
O 3.295 6.225 19.924
Al 4.189 2.477 4.036
O -3.284 6.156 15.207
O 0.561 3.705 16.663
O 10.216 4.761 12.601
Na 13.137 2.590 7.206
Na 7.185 2.243 9.168
Ta 8.720 4.871 17.739
Si 9.954 2.884 9.063
O 14.736 2.681 13.907
O 9.332 3.618 16.424
O 10.361 0.162 6.868
O 8.101 1.294 19.870
O 11.593 2.720 9.172
Al 13.054 2.299 4.080
O 10.397 5.268 5.561
Al 4.405 7.516 7.736
O 7.721 1.398 6.651
O -0.544 3.545 5.642
O 3.807 6.113 6.784
Na 5.576 0.004 5.354
O 6.017 7.275 4.203
O 2.664 2.765 3.132
O 16.458 1.261 12.801
O 5.714 2.662 20.206
Si 14.330 0.332 1.665
O 5.988 2.687 13.932
O 9.791 6.336 10.228
O 10.408 5.354 21.229
O 2.900 2.265 0.473
O 11.537 7.268 15.182
Na 4.128 7.476 21.729
Al 0.063 5.334 11.383
O 5.494 1.349 0.562
O 7.165 5.285 16.578
O 8.128 6.327 12.412
Al 8.645 0.006 18.572
Al 8.819 5.010 11.383
Na 11.449 0.371 9.073
O -0.683 6.339 12.715
Si 9.992 2.103 16.387
Al 0.028 -0.014 7.651
O 4.964 1.018 3.179
S 11.887 5.352 5.458
Si 1.328 7.316 9.127
Ta -0.032 0.120 3.075
O 13.798 6.040 1.842
O -2.772 7.330 4.109
O -2.760 7.223 19.904
O 13.709 0.949 3.039
O 5.325 6.255 15.133
O -1.614 5.245 16.636
O 12.479 0.876 14.030
S 1.233 2.807 9.146
O 12.153 1.280 11.351
Si 11.834 4.651 12.752
O 12.156 3.754 14.081
O 14.205 3.890 2.971
O 12.114 6.250 4.273
O 3.495 1.299 5.358
Na -2.781 5.254 12.554
O 7.715 3.708 12.623
Na 7.597 2.544 1.570
O 12.545 6.148 12.892
O 0.503 6.459 1.600
O 4.774 6.030 17.692
O 2.713 2.649 9.192
S 6.240 5.021 9.102
O 3.791 3.942 11.401
Si 10.688 2.619 1.831
O -0.701 6.406 18.848
O 1.392 4.717 12.498
Na 9.975 2.501 12.612
Na 8.653 5.121 14.418
S 2.458 5.001 20.033
O 0.959 1.198 1.839
O 7.105 5.241 10.278
O 1.575 0.250 6.769
O 7.704 1.313 12.822
O 14.769 2.714 20.088
Si 3.190 0.321 12.799
O 9.583 6.326 16.570
O 1.037 6.361 10.372
S 15.546 2.494 12.696
Na 8.878 5.069 3.563
O 9.703 1.233 1.985
Na 10.243 2.319 20.093
O 0.538 1.529 15.157
O 13.748 6.001 17.550
S 6.142 -0.011 16.448
O 3.626 6.164 12.824
O 9.228 6.433 1.504
O 9.320 1.472 15.033
Ta -0.099 5.093 6.809
O -1.606 5.292 10.473
O 11.604 2.343 16.265
O 4.925 3.806 16.203
Na 1.633 2.762 5.356
Na 2.727 4.703 16.357
O 5.343 3.836 2.985
O 0.554 6.642 7.794
O 16.425 1.146 6.721
O 13.842 4.039 16.241
O 11.642 2.791 3.102
Na 13.200 2.579 18.173
O 2.909 7.502 8.875
O 15.818 0.237 17.786
Na 14.251 0.025 5.378
O 8.142 3.590 5.588
O -1.052 3.611 12.652
O 12.329 6.390 19.808
Si 5.594 0.350 1.820
Si 11.974 0.272 12.609
Na 4.374 2.439 18.217
O 12.283 3.631 20.207
Na 2.811 0.140 9.191
Na 11.518 4.789 16.260
Al -0.036 4.924 17.853
O 13.800 0.996 9.217
O 3.274 3.792 20.154
Si -2.606 4.975 9.221
S 7.508 2.266 5.478
O 3.226 3.794 14.053
O 9.316 1.377 8.933
S 6.804 2.535 12.745
Si 3.026 4.615 12.655
Al 12.973 2.341 14.942
O 8.116 1.639 4.239
O 9.616 3.835 1.713
O -3.563 6.330 8.957
O 1.617 4.844 18.799
O 12.439 5.982 6.699
Si 1.914 2.634 1.694
Si 11.451 5.028 20.031
Si 2.495 0.017 5.463
O -1.629 4.813 7.882
O 4.988 6.048 1.885
O 0.648 3.432 10.332
Ta 4.404 7.513 3.191
O 3.801 1.073 14.066
O 2.628 7.245 15.234
Na 11.955 4.984 9.067
O 1.489 0.168 12.949
Na 0.050 4.923 3.495
O 9.683 3.907 7.821
O 7.669 6.370 21.247
O 14.139 1.289 0.353
O 11.502 2.262 0.462
O 15.970 0.089 1.846
O 9.415 6.648 7.827
O 9.730 1.185 17.684
O 6.996 0.174 17.645
O 9.254 3.542 10.403
O 14.759 2.271 11.484
O 5.926 7.342 19.932
O -0.649 1.524 20.016
O 13.993 1.401 16.191
O 3.337 6.319 4.222
O -1.642 4.875 1.625
O -0.639 1.468 4.213
Na 1.273 2.501 12.765
Si 16.139 2.176 5.506
Al 17.432 0.021 18.577
O 0.983 3.613 7.910
S 7.391 7.178 20.058
O 5.388 6.232 9.012
Si 7.333 2.739 20.141
O 7.244 0.199 1.981
S 5.590 4.639 1.777
Na 4.235 7.366 10.794
Si 1.208 2.184 16.568
O 1.574 5.216 21.209
O 12.409 0.970 20.093
Si 5.528 5.263 16.488
Ta -0.063 0.008 14.180
O 6.051 2.381 5.298
O 2.809 2.342 16.356
Si 14.919 0.112 16.464
Na 0.056 5.104 14.543
O 14.570 2.374 5.231
O 0.624 1.438 9.020
Na 13.076 7.523 21.713
Ta 4.449 7.443 13.993
O 6.041 2.325 11.483
O -0.745 3.563 21.263
Al 12.973 2.644 10.429
O 7.718 3.701 18.810
Si 3.235 5.307 5.545
O 12.255 1.258 5.372
O 12.582 4.091 11.426
O 3.715 0.872 20.114
Al 13.007 2.533 21.543
O 1.577 5.128 5.669
O 10.437 4.733 18.702
Al 4.289 2.431 10.607
```